First-principles (GGA-PBE) data for a geometry-optimized Hf2MnIr structure, as listed in the Materials Project.

Properties
**VASP energy**: -40.52 eV/cell
**DFT formation energy**: -0.65 eV/atom
**SG**: No. 225

extended XYZ file:
```
4
Lattice="0.000 3.224 3.224 3.224 0.000 3.224 3.224 3.224 0.000" Properties=species:S:1:pos:R:3 pbc="T T T"
Ir 3.224 3.224 3.224
Mn 0.000 0.000 0.000
Hf 1.612 1.612 1.612
Hf 4.836 4.836 4.836
```

First-principles (GGA-PBE) data for a geometry-optimized Hf2NiIr structure, as listed in the Materials Project.

Properties
**VASP energy**: -37.38 eV/cell
**DFT formation energy**: -0.71 eV/atom
**SG**: No. 225

extended XYZ file:
```
4
Lattice="0.000 3.235 3.235 3.235 0.000 3.235 3.235 3.235 0.000" Properties=species:S:1:pos:R:3 pbc="T T T"
Ni 0.000 0.000 0.000
Hf 1.618 1.618 1.618
Hf 4.853 4.853 4.853
Ir 3.235 3.235 3.235
```

First-principles (GGA-PBE) data for a geometry-optimized Hf2IrPd structure, as listed in the Materials Project.

Properties
**VASP energy**: -37.21 eV/cell
**DFT formation energy**: -0.82 eV/atom
**SG**: No. 225

extended XYZ file:
```
4
Lattice="0.270 -1.307 4.475 -2.248 -3.825 1.454 2.413 -3.821 1.175" Properties=species:S:1:pos:R:3 pbc="T T T"
Hf 0.326 -6.715 5.328
Hf 0.109 -2.238 1.776
Pd 0.000 0.000 0.000
Ir 0.217 -4.477 3.552
```

First-principles (GGA-PBE) data for a geometry-optimized HfSnIr structure, as listed in the Materials Project.

Properties
**VASP energy**: -74.67 eV/cell
**DFT formation energy**: -0.69 eV/atom
**SG**: No. 189

extended XYZ file:
```
9
Lattice="2.431 2.008 6.648 -6.265 -3.807 -0.631 1.901 -3.172 0.263" Properties=species:S:1:pos:R:3 pbc="T T T"
Hf 2.420 -0.372 4.151
Hf -2.837 -3.888 -0.250
Hf -0.565 -2.297 2.511
Sn -2.809 -1.318 4.408
Sn 0.650 0.537 1.778
Sn -1.675 -1.018 -0.169
Ir 0.951 -1.586 0.132
Ir -3.366 -1.869 1.796
Ir -0.468 0.070 4.222
```

First-principles (GGA-PBE) data for a geometry-optimized KLaHfNbO6 structure, as listed in the Materials Project.

Properties
**VASP energy**: -84.80 eV/cell
**DFT formation energy**: -3.31 eV/atom
**SG**: No. 216

extended XYZ file:
```
10
Lattice="1.422 5.624 -0.066 1.338 2.595 -5.014 -3.634 3.884 -2.316" Properties=species:S:1:pos:R:3 pbc="T T T"
O -2.022 4.978 -3.013
O -1.317 7.765 -3.046
O -1.358 6.264 -5.498
O 1.148 7.126 -4.383
O 0.485 5.840 -1.898
O 0.443 4.339 -4.350
Nb -0.437 6.052 -3.698
La -0.655 9.078 -5.547
K -0.218 3.026 -1.849
Hf 0.000 0.000 0.000
```

First-principles (GGA-PBE) data for a geometry-optimized KLaHf2O6 structure, as listed in the Materials Project.

Properties
**VASP energy**: -87.71 eV/cell
**DFT formation energy**: -3.62 eV/atom
**SG**: No. 225

extended XYZ file:
```
10
Lattice="0.000 -4.131 -4.131 4.131 0.000 -4.131 4.131 -4.131 0.000" Properties=species:S:1:pos:R:3 pbc="T T T"
O 2.066 -4.131 -2.066
O 2.066 -2.066 0.000
O 2.066 -2.066 -4.131
O 0.000 -2.066 -2.066
O 2.066 0.000 -2.066
O 4.131 -2.066 -2.066
La 4.131 -4.131 -4.131
K 0.000 0.000 0.000
Hf 2.066 -2.066 -2.066
Hf 6.197 -6.197 -6.197
```

First-principles (GGA-PBE) data for a geometry-optimized KLaHf4O12 structure, as listed in the Materials Project.

Properties
**VASP energy**: -155.03 eV/cell
**DFT formation energy**: -3.22 eV/atom
**SG**: No. 38

extended XYZ file:
```
18
Lattice="-1.356 -4.268 -3.648 -4.913 2.685 -1.417 3.941 3.980 -6.122" Properties=species:S:1:pos:R:3 pbc="T T T"
La -1.144 1.160 -5.606
O -1.107 -1.354 -4.866
O -1.105 4.101 -6.573
O -0.749 -2.188 -1.904
O -3.351 2.496 -6.158
O -3.709 -2.935 -4.296
O 1.106 2.413 -5.812
O -3.141 2.045 -3.411
O -0.653 3.177 -3.978
O 0.540 0.310 -7.425
O -0.625 0.665 -3.123
O -1.690 1.707 -8.071
O -3.421 -0.041 -5.382
Hf -2.595 3.558 -7.875
Hf -1.502 2.298 -2.202
Hf 0.527 4.346 -5.353
Hf -4.624 1.509 -4.724
K -1.356 -4.267 -3.647
```

First-principles (GGA-PBE) data for a geometry-optimized KLaHfTiO6 structure, as listed in the Materials Project.

Properties
**VASP energy**: -84.53 eV/cell
**DFT formation energy**: -3.51 eV/atom
**SG**: No. 216

extended XYZ file:
```
10
Lattice="-4.950 0.197 -2.820 -1.453 -4.251 -3.508 -4.231 -3.546 1.418" Properties=species:S:1:pos:R:3 pbc="T T T"
K -7.975 -5.700 -3.682
O -7.202 -3.580 -1.941
O -3.432 -4.020 -2.969
O -4.787 -3.676 -0.565
O -5.496 -5.750 -2.277
O -5.138 -1.850 -2.633
O -5.846 -3.923 -4.344
Hf 0.000 0.000 0.000
Ti -5.317 -3.800 -2.455
La -2.658 -1.900 -1.227
```

- Among the records above, which one has the lowest DFT formation energy?
  KLaHf2O6

Repeat the third record exactly.
First-principles (GGA-PBE) data for a geometry-optimized Hf2IrPd structure, as listed in the Materials Project.

Properties
**VASP energy**: -37.21 eV/cell
**DFT formation energy**: -0.82 eV/atom
**SG**: No. 225

extended XYZ file:
```
4
Lattice="0.270 -1.307 4.475 -2.248 -3.825 1.454 2.413 -3.821 1.175" Properties=species:S:1:pos:R:3 pbc="T T T"
Hf 0.326 -6.715 5.328
Hf 0.109 -2.238 1.776
Pd 0.000 0.000 0.000
Ir 0.217 -4.477 3.552
```